P | # Sr3Nb2N4

Crystalline Sr3Nb2N4 at its relaxed geometry (PBE-GGA, Materials Project).

Cell lengths 6.158, 10.804, 9.975 Å; angles 90.00, 90.00, 90.00 degrees
Atoms (fractional coordinates):
Sr 0.114 0.158 0.079
Sr 0.114 0.342 0.421
Sr 0.250 0.000 0.400
Sr 0.250 0.500 0.100
Sr 0.386 0.658 0.421
Sr 0.386 0.842 0.079
Sr 0.614 0.158 0.921
Sr 0.614 0.342 0.579
Sr 0.750 0.000 0.600
Sr 0.750 0.500 0.900
Sr 0.886 0.658 0.579
Sr 0.886 0.842 0.921
Nb 0.117 0.250 0.750
Nb 0.250 0.000 0.735
Nb 0.250 0.500 0.765
Nb 0.383 0.750 0.750
Nb 0.617 0.250 0.250
Nb 0.750 0.000 0.265
Nb 0.750 0.500 0.235
Nb 0.883 0.750 0.250
N 0.000 0.079 0.837
N 0.000 0.421 0.663
N 0.000 0.579 0.337
N 0.000 0.921 0.163
N 0.180 0.653 0.878
N 0.180 0.847 0.622
N 0.320 0.153 0.622
N 0.320 0.347 0.878
N 0.500 0.079 0.163
N 0.500 0.421 0.337
N 0.500 0.579 0.663
N 0.500 0.921 0.837
N 0.680 0.653 0.122
N 0.680 0.847 0.378
N 0.820 0.153 0.378
N 0.820 0.347 0.122

Results
As for the space-group type: Pnna. The density is 5.05 g/cm3.

---

Q | # Sr3Nb2N4

Crystalline Sr3Nb2N4 at its relaxed geometry (PBE-GGA, Materials Project).

Cell lengths 9.444, 9.444, 6.177 Å; angles 107.94, 107.94, 52.33 degrees
Atoms (fractional coordinates):
Sr 0.009 0.710 0.143
Sr 0.245 0.755 0.750
Sr 0.290 0.991 0.357
Sr 0.710 0.009 0.643
Sr 0.755 0.245 0.250
Sr 0.991 0.290 0.857
Nb 0.182 0.401 0.608
Nb 0.401 0.182 0.108
Nb 0.599 0.818 0.892
Nb 0.818 0.599 0.392
N 0.004 0.666 0.543
N 0.216 0.388 0.935
N 0.334 0.996 0.957
N 0.388 0.216 0.435
N 0.612 0.784 0.565
N 0.666 0.004 0.043
N 0.784 0.612 0.065
N 0.996 0.334 0.457

Results
As for the space-group type: C2/c. The density is 4.09 g/cm3.

---

Stability ranking, top and bottom: Q is the most stable and P is the least stable.

---

P | # Ni4Te3N2

Crystalline Ni4Te3N2 at its relaxed geometry (PBE-GGA, Materials Project).

Cell lengths 6.419, 13.497, 3.553 Å; angles 90.00, 90.00, 90.00 degrees
Atoms (fractional coordinates):
Ni 0.143 0.099 0.000
Ni 0.175 0.940 0.500
Ni 0.325 0.440 0.000
Ni 0.357 0.599 0.500
Ni 0.643 0.401 0.500
Ni 0.675 0.560 0.000
Ni 0.825 0.060 0.500
Ni 0.857 0.901 0.000
Te 0.000 0.500 0.500
Te 0.194 0.794 0.000
Te 0.306 0.294 0.500
Te 0.500 0.000 0.000
Te 0.694 0.706 0.500
Te 0.806 0.206 0.000
N 0.122 0.080 0.500
N 0.378 0.580 0.000
N 0.622 0.420 0.000
N 0.878 0.920 0.500

Results
As for the space-group type: Pnnm. The density is 6.96 g/cm3.

---

Q | # Ni4Te3N2

Crystalline Ni4Te3N2 at its relaxed geometry (PBE-GGA, Materials Project).

Cell lengths 6.261, 10.568, 8.888 Å; angles 90.00, 90.00, 90.00 degrees
Atoms (fractional coordinates):
Ni 0.023 0.250 0.148
Ni 0.192 0.541 0.064
Ni 0.192 0.959 0.064
Ni 0.207 0.250 0.914
Ni 0.293 0.750 0.414
Ni 0.308 0.041 0.564
Ni 0.308 0.459 0.564
Ni 0.477 0.750 0.648
Ni 0.523 0.250 0.352
Ni 0.692 0.541 0.436
Ni 0.692 0.959 0.436
Ni 0.707 0.250 0.586
Ni 0.793 0.750 0.086
Ni 0.808 0.041 0.936
Ni 0.808 0.459 0.936
Ni 0.977 0.750 0.852
Te 0.056 0.060 0.322
Te 0.056 0.440 0.322
Te 0.115 0.250 0.644
Te 0.385 0.750 0.144
Te 0.444 0.560 0.822
Te 0.444 0.940 0.822
Te 0.556 0.060 0.178
Te 0.556 0.440 0.178
Te 0.615 0.250 0.856
Te 0.885 0.750 0.356
Te 0.944 0.560 0.678
Te 0.944 0.940 0.678
N 0.064 0.118 0.005
N 0.064 0.382 0.005
N 0.436 0.618 0.505
N 0.436 0.882 0.505
N 0.564 0.118 0.495
N 0.564 0.382 0.495
N 0.936 0.618 0.995
N 0.936 0.882 0.995

Results
As for the space-group type: Pnma. The density is 7.29 g/cm3.

---

Stability ranking, top and bottom: Q is the most stable and P is the least stable.